(1)
# RbCO2 | the Materials Project | GGA-PBE | relaxed
data_RbCO2
_cell_length_a 6.4039
_cell_length_b 11.4842
_cell_length_c 3.6925
_cell_angle_alpha 90.00
_cell_angle_beta 90.00
_cell_angle_gamma 90.00
_space_group_name_H-M_alt 'P b a m'
_space_group_IT_number 55
_space_group_name_Hall '-P 2 2ab'
loop_
_atom_site_label
_atom_site_fract_x
_atom_site_fract_y
_atom_site_fract_z
Rb1 0.0945 0.1519 0.0000
C1 0.0672 0.4416 0.5000
O1 0.0336 0.6539 0.5000
O2 0.2356 0.9523 0.5000
# * energy of formation: -1.890 eV/atom

***

(2)
# RbCO2 | the Materials Project | GGA-PBE | relaxed
data_RbCO2
_cell_length_a 6.4788
_cell_length_b 10.6501
_cell_length_c 8.3454
_cell_angle_alpha 90.00
_cell_angle_beta 97.66
_cell_angle_gamma 90.00
_space_group_name_H-M_alt 'P 1 21/c 1'
_space_group_IT_number 14
_space_group_name_Hall '-P 2ybc'
loop_
_atom_site_label
_atom_site_fract_x
_atom_site_fract_y
_atom_site_fract_z
Rb1 0.2164 0.2054 0.0200
Rb2 0.2693 0.5841 0.1659
C1 0.1870 0.5546 0.7729
C2 0.3331 0.6066 0.6585
O1 0.0406 0.6262 0.8048
O2 0.2247 0.0557 0.3297
O3 0.2744 0.5977 0.5076
O4 0.4983 0.1565 0.7740
# * energy of formation: -1.896 eV/atom

***

(3)
# Rb4CO4 | the Materials Project | GGA-PBE | relaxed
data_Rb4CO4
_cell_length_a 5.7654
_cell_length_b 5.7654
_cell_length_c 5.7654
_cell_angle_alpha 90.00
_cell_angle_beta 90.00
_cell_angle_gamma 90.00
_space_group_name_H-M_alt 'P -4 3 m'
_space_group_IT_number 215
_space_group_name_Hall 'P -4 2 3'
loop_
_atom_site_label
_atom_site_fract_x
_atom_site_fract_y
_atom_site_fract_z
Rb1 0.2223 0.2223 0.7777
C1 0.5000 0.5000 0.5000
O1 0.3550 0.3550 0.3550
# * polymorph energy (0 for the lowest one): 69 meV/atom
# * total moment: 0.00 μB per cell
# * energy of formation: -1.503 eV/atom

***

(4)
# RbSmC2O6 | the Materials Project | GGA-PBE | relaxed
data_RbSmC2O6
_cell_length_a 8.8960
_cell_length_b 9.6827
_cell_length_c 7.3247
_cell_angle_alpha 90.00
_cell_angle_beta 111.44
_cell_angle_gamma 90.00
_space_group_name_H-M_alt 'C 1 2/c 1'
_space_group_IT_number 15
_space_group_name_Hall '-C 2yc'
loop_
_atom_site_label
_atom_site_fract_x
_atom_site_fract_y
_atom_site_fract_z
Rb1 0.0000 0.1142 0.2500
Sm1 0.0000 0.4041 0.7500
C1 0.2275 0.3763 0.2480
O1 0.0857 0.3830 0.1030
O2 0.1750 0.2236 0.7375
O3 0.2404 0.0249 0.6237
# * total moment: 0.00 μB per cell
# * energy of formation: -2.556 eV/atom

***

(5)
# Rb4UC3O11 | the Materials Project | GGA-PBE | relaxed
data_Rb4UC3O11
_cell_length_a 11.1892
_cell_length_b 9.5462
_cell_length_c 12.8170
_cell_angle_alpha 90.00
_cell_angle_beta 92.71
_cell_angle_gamma 90.00
_space_group_name_H-M_alt 'C 1 2/c 1'
_space_group_IT_number 15
_space_group_name_Hall '-C 2yc'
loop_
_atom_site_label
_atom_site_fract_x
_atom_site_fract_y
_atom_site_fract_z
Rb1 0.1053 0.1778 0.0405
Rb2 0.1847 0.3407 0.3460
U1 0.0000 0.3106 0.7500
C1 0.0000 0.0070 0.7500
C2 0.1222 0.4614 0.5909
O1 0.0000 0.1257 0.2500
O2 0.0386 0.0819 0.6719
O3 0.0632 0.4742 0.1637
O4 0.1006 0.3252 0.5848
O5 0.1499 0.3098 0.8171
O6 0.1938 0.4770 0.0336
# * total moment: 0.01 μB per cell
# * energy of formation: -2.458 eV/atom

***

(6)
# RbUC3O8 | the Materials Project | GGA-PBE | relaxed
data_RbUC3O8
_cell_length_a 8.1156
_cell_length_b 9.0278
_cell_length_c 12.1986
_cell_angle_alpha 90.00
_cell_angle_beta 114.66
_cell_angle_gamma 90.00
_space_group_name_H-M_alt 'P 1 21/c 1'
_space_group_IT_number 14
_space_group_name_Hall '-P 2ybc'
loop_
_atom_site_label
_atom_site_fract_x
_atom_site_fract_y
_atom_site_fract_z
Rb1 0.0592 0.0854 0.1782
U1 0.3722 0.6834 0.1050
C1 0.0122 0.0149 0.5650
C2 0.3037 0.1986 0.9665
C3 0.4765 0.1930 0.0875
O1 0.1007 0.6021 0.9218
O2 0.1423 0.5504 0.1485
O3 0.1510 0.1781 0.9630
O4 0.2725 0.6406 0.6147
O5 0.3419 0.2266 0.8753
O6 0.3744 0.7127 0.4208
O7 0.4586 0.1682 0.1840
O8 0.4593 0.5013 0.0997
# * total moment: 0.00 μB per cell
# * energy of formation: -2.297 eV/atom

***

(7)
# RbYC4O12 | the Materials Project | GGA-PBE | relaxed
data_RbYC4O12
_cell_length_a 11.7154
_cell_length_b 11.7154
_cell_length_c 8.4873
_cell_angle_alpha 90.00
_cell_angle_beta 90.00
_cell_angle_gamma 90.00
_space_group_name_H-M_alt 'I 41/a'
_space_group_IT_number 88
loop_
_space_group_symop_operation_xyz
'x,y,z'
'-x,-y,-z'
'-y+3/4,x+1/4,z+1/4'
'y+3/4,-x+1/4,-z+1/4'
'-x+1/2,-y,z+1/2'
'x+1/2,y,-z+1/2'
'y+3/4,-x+3/4,z+3/4'
'-y+3/4,x+3/4,-z+3/4'
'x+1/2,y+1/2,z+1/2'
'-x+1/2,-y+1/2,-z+1/2'
'-y+1/4,x+3/4,z+3/4'
'y+1/4,-x+3/4,-z+3/4'
'-x,-y+1/2,z'
'x,y+1/2,-z'
'y+1/4,-x+1/4,z+1/4'
'-y+1/4,x+1/4,-z+1/4'
loop_
_atom_site_label
_atom_site_fract_x
_atom_site_fract_y
_atom_site_fract_z
Rb1 0.0000 0.2500 0.1250
Y1 0.0000 0.2500 0.6250
C1 0.0047 0.4773 0.4139
O1 0.0070 0.0510 0.6942
O2 0.0090 0.3702 0.4004
O3 0.1989 0.4680 0.0926
# * total moment: 32.00 μB per cell
# * energy of formation: -1.266 eV/atom

***

(8)
# Re2C9S3O8 | the Materials Project | GGA-PBE | relaxed
data_Re2C9S3O8
_cell_length_a 7.2396
_cell_length_b 8.6870
_cell_length_c 14.1360
_cell_angle_alpha 83.68
_cell_angle_beta 79.47
_cell_angle_gamma 75.30
_space_group_name_H-M_alt 'P -1'
_space_group_IT_number 2
_space_group_name_Hall '-P 1'
loop_
_atom_site_label
_atom_site_fract_x
_atom_site_fract_y
_atom_site_fract_z
Re1 0.1069 0.1751 0.1431
Re2 0.1838 0.3155 0.5519
C1 0.0131 0.6915 0.6640
C2 0.0136 0.7064 0.3308
C3 0.0377 0.2598 0.0184
C4 0.1198 0.9232 0.8316
C5 0.2462 0.0877 0.5408
C6 0.2817 0.9782 0.0950
C7 0.3170 0.2962 0.1218
C8 0.3682 0.3456 0.4309
C9 0.3850 0.2773 0.6317
S1 0.0916 0.6192 0.5485
S2 0.0960 0.5918 0.7630
S3 0.1393 0.1270 0.3197
O1 0.0149 0.6835 0.0535
O2 0.1251 0.7235 0.2631
O3 0.2549 0.9766 0.8158
O4 0.2907 0.9494 0.5376
O5 0.3843 0.8602 0.0662
O6 0.4255 0.3764 0.1063
O7 0.4691 0.3644 0.3593
O8 0.4912 0.7572 0.3221
# * total moment: 0.00 μB per cell
# * energy of formation: -0.910 eV/atom

***

(9)
# Rh8C20O19 | the Materials Project | GGA-PBE | relaxed
data_Rh8C20O19
_cell_length_a 9.2600
_cell_length_b 10.5660
_cell_length_c 17.9253
_cell_angle_alpha 104.10
_cell_angle_beta 92.40
_cell_angle_gamma 110.86
_space_group_name_H-M_alt 'P -1'
_space_group_IT_number 2
_space_group_name_Hall '-P 1'
loop_
_atom_site_label
_atom_site_fract_x
_atom_site_fract_y
_atom_site_fract_z
Rh1 0.0038 0.2006 0.3387
Rh2 0.0165 0.8859 0.8259
Rh3 0.0534 0.6309 0.8428
Rh4 0.1915 0.0754 0.6659
Rh5 0.2285 0.1555 0.8337
Rh6 0.2452 0.7793 0.7520
Rh7 0.2886 0.8472 0.6063
Rh8 0.4348 0.0464 0.7543
C1 0.0245 0.0757 0.8876
C2 0.0350 0.0497 0.3846
C3 0.0360 0.5090 0.1062
C4 0.0976 0.4862 0.2484
C5 0.1268 0.2019 0.1104
C6 0.1415 0.2185 0.7486
C7 0.1429 0.6543 0.6331
C8 0.1621 0.3588 0.4110
C9 0.1630 0.1976 0.2617
C10 0.1821 0.9545 0.7505
C11 0.1859 0.7940 0.5018
C12 0.2150 0.7481 0.9305
C13 0.2273 0.2056 0.6047
C14 0.2755 0.3320 0.9106
C15 0.3071 0.6286 0.7616
C16 0.3507 0.9098 0.2527
C17 0.4230 0.0538 0.6173
C18 0.4450 0.9140 0.8249
C19 0.4495 0.7736 0.5847
C20 0.4760 0.2429 0.8184
O1 0.0459 0.8734 0.0698
O2 0.0833 0.3018 0.7507
O3 0.0933 0.5986 0.0777
O4 0.1017 0.5331 0.6003
O5 0.1259 0.7628 0.4389
O6 0.1342 0.0401 0.4235
O7 0.1922 0.5620 0.2997
O8 0.2202 0.8871 0.2569
O9 0.2245 0.2431 0.0739
O10 0.2513 0.2910 0.5720
O11 0.2565 0.4597 0.4513
O12 0.2985 0.2227 0.2657
O13 0.3038 0.4400 0.9550
O14 0.3100 0.8120 0.9833
O15 0.3653 0.5492 0.7650
O16 0.4275 0.6428 0.1596
O17 0.4588 0.2742 0.4325
O18 0.4632 0.0765 0.1248
O19 0.4841 0.8695 0.4106
# * polymorph energy (0 for the lowest one): 0 meV/atom
# * total moment: 0.00 μB per cell
# * energy of formation: -0.829 eV/atom

***

no.,ρ (g/cm³),total DFT energy (no corrections) (eV per atom)
1,3.2,-6.5725
2,3.0,-6.5790
3,3.6,-4.8581
4,4.0,-7.5287
5,3.8,-7.1824
6,4.0,-7.9924
7,2.4,-6.5707
8,2.8,-7.8621
9,2.9,-7.7319